A plane-wave DFT calculation with PBE was carried out for TiO2 after structural relaxation.

The structure in POSCAR format:
```
TiO2
1.0
3.1672 0.0000 0.0000
0.0000 5.2540 0.0000
0.0000 0.0000 6.2878
Ti O
4 8
Direct
0.2500 0.2515 0.8938 Ti
0.2500 0.7515 0.6062 Ti
0.7500 0.7485 0.1062 Ti
0.7500 0.2485 0.3938 Ti
0.2500 0.3628 0.5806 O
0.2500 0.8628 0.9194 O
0.7500 0.6372 0.4194 O
0.7500 0.1372 0.0806 O
0.7500 0.0156 0.6531 O
0.7500 0.5156 0.8469 O
0.2500 0.9844 0.3469 O
0.2500 0.4844 0.1531 O
```

Results
* M_tot: 0.0 μB/cell
* calculated volume: 104.6 Å³/cell
* density: 5.07 g/cm³
* energy relative to the elements: -3.21 eV/atom